## Mg149Bi (PBE-GGA)

Data for a relaxed Mg149Bi crystal.

Properties
E = -1.64 eV per atom
energy of formation = -27 meV/atom

The structure in CIF format:
```
data_Mg149Bi
_cell_length_a 16.0009
_cell_length_b 16.0009
_cell_length_c 15.6219
_cell_angle_alpha 90.00
_cell_angle_beta 90.00
_cell_angle_gamma 120.00
_symmetry_space_group_name_H-M 'P -6 m 2'
_symmetry_Int_Tables_number 187
_symmetry_space_group_name_Hall 'P -6 2'
loop_
_atom_site_label
_atom_site_type_symbol
_atom_site_fract_x
_atom_site_fract_y
_atom_site_fract_z
_atom_site_occupancy
Mg1 Mg 0.0000 0.0000 0.0000 1
Mg2 Mg 0.0000 0.0000 0.3335 1
Mg3 Mg 0.9998 0.2000 0.0000 1
Mg4 Mg 0.9999 0.1998 0.3337 1
Mg5 Mg 0.9999 0.4000 0.0000 1
Mg6 Mg 0.9999 0.3996 0.3336 1
Mg7 Mg 0.1298 0.4622 0.5000 1
Mg8 Mg 0.1330 0.0665 0.1669 1
Mg9 Mg 0.1329 0.0665 0.5000 1
Mg10 Mg 0.1332 0.2664 0.1669 1
Mg11 Mg 0.1330 0.2661 0.5000 1
Mg12 Mg 0.1333 0.4664 0.1656 1
Mg13 Mg 0.1982 0.5991 0.3298 1
Mg14 Mg 0.1997 0.3994 0.3328 1
Mg15 Mg 0.1999 0.3999 0.0000 1
Mg16 Mg 0.2002 0.6001 0.0000 1
Mg17 Mg 0.3333 0.0666 0.1667 1
Mg18 Mg 0.3333 0.6667 0.1662 1
Mg19 Mg 0.3335 0.0679 0.5000 1
Mg20 Mg 0.4001 0.2000 0.0000 1
Mg21 Mg 0.4002 0.2001 0.3335 1
Mg22 Mg 0.5332 0.0665 0.1671 1
Mg23 Mg 0.5332 0.0664 0.5000 1
Mg24 Mg 0.5336 0.2668 0.1669 1
Mg25 Mg 0.5336 0.2668 0.5000 1
Mg26 Mg 0.6000 0.1999 0.0000 1
Mg27 Mg 0.6000 0.2000 0.3335 1
Bi1 Bi 0.3333 0.6667 0.5000 1
```